DFT (PBE) results for YH5S3O13 after structural relaxation.

Lattice parameters (Å, degrees): 6.8687 8.1193 9.7426 79.85 77.58 77.58
Positions (direct):
Y: 0.1341 0.1766 0.1934
Y: 0.8659 0.8234 0.8066
H: 0.0716 0.2758 0.6811
H: 0.1993 0.4205 0.3644
H: 0.4071 0.2893 0.3638
H: 0.4224 0.6345 0.1178
H: 0.4916 0.6371 0.3957
H: 0.5084 0.3629 0.6043
H: 0.5776 0.3655 0.8822
H: 0.5929 0.7107 0.6362
H: 0.8007 0.5795 0.6356
H: 0.9284 0.7242 0.3189
S: 0.1995 0.3894 0.8188
S: 0.2052 0.7917 0.4549
S: 0.3065 0.8351 0.9594
S: 0.6935 0.1649 0.0406
S: 0.7948 0.2083 0.5451
S: 0.8005 0.6106 0.1812
O: 0.0540 0.5382 0.7736
O: 0.1045 0.8518 0.5886
O: 0.1056 0.6710 0.4104
O: 0.1624 0.3350 0.9713
O: 0.1761 0.2395 0.7458
O: 0.1850 0.8230 0.8569
O: 0.2025 0.9587 0.0558
O: 0.2529 0.9293 0.3411
O: 0.2751 0.3122 0.3344
O: 0.3261 0.6529 0.0492
O: 0.4133 0.4115 0.7678
O: 0.4169 0.6852 0.4860
O: 0.4908 0.1349 0.1100
O: 0.5092 0.8651 0.8900
O: 0.5831 0.3148 0.5140
O: 0.5867 0.5885 0.2322
O: 0.6739 0.3471 0.9508
O: 0.7249 0.6878 0.6656
O: 0.7471 0.0707 0.6589
O: 0.7975 0.0413 0.9442
O: 0.8150 0.1770 0.1431
O: 0.8239 0.7605 0.2542
O: 0.8376 0.6650 0.0287
O: 0.8944 0.3290 0.5896
O: 0.8955 0.1482 0.4114
O: 0.9460 0.4618 0.2264

Summary:
- energy of formation from the pure elements (eV/atom) = -1.931
- volume (Å³/atom) = 11.67
- energy (eV/atom) = -6.08
- space-group type = P-1